Material: ThScB8Rh8
Method: DFT, r²SCAN
State: optimized geometry

Computed properties:
As for the uncorrected energy: -347.51 eV/cell. Its formation energy from the elements is -0.599 eV/atom.

Unit cell a=5.314 b=5.314 c=7.451 alpha=90.00 beta=90.00 gamma=90.00
Fractional positions:
1 Th 0.000 0.000 0.000
2 Sc 0.500 0.500 0.500
3 B 0.000 0.330 0.352
4 B 0.000 0.670 0.352
5 B 0.168 0.500 0.849
6 B 0.330 0.000 0.648
7 B 0.500 0.168 0.151
8 B 0.500 0.832 0.151
9 B 0.670 0.000 0.648
10 B 0.832 0.500 0.849
11 Rh 0.000 0.251 0.641
12 Rh 0.000 0.749 0.641
13 Rh 0.251 0.000 0.359
14 Rh 0.253 0.500 0.153
15 Rh 0.500 0.253 0.847
16 Rh 0.500 0.747 0.847
17 Rh 0.747 0.500 0.153
18 Rh 0.749 0.000 0.359

---

Material: Sn5B2Rh6
Method: DFT, r²SCAN
State: optimized geometry

Computed properties:
As for the uncorrected energy: -289.29 eV/cell. Its formation energy from the elements is -0.465 eV/atom.

Unit cell a=6.612 b=6.612 c=5.588 alpha=90.00 beta=90.00 gamma=120.00
Fractional positions:
1 Sn 0.000 0.597 0.000
2 Sn 0.333 0.667 0.500
3 Sn 0.403 0.403 0.000
4 Sn 0.597 0.000 0.000
5 Sn 0.667 0.333 0.500
6 B 0.000 0.000 0.000
7 B 0.000 0.000 0.500
8 Rh 0.000 0.252 0.253
9 Rh 0.000 0.252 0.747
10 Rh 0.252 0.000 0.253
11 Rh 0.252 0.000 0.747
12 Rh 0.748 0.748 0.253
13 Rh 0.748 0.748 0.747

---

Material: Sr5B10Rh14
Method: DFT, r²SCAN
State: optimized geometry

Computed properties:
As for the uncorrected energy: -504.94 eV/cell. Its formation energy from the elements is -0.615 eV/atom.

Unit cell a=15.256 b=14.702 c=5.685 alpha=84.61 beta=73.62 gamma=21.78
Fractional positions:
1 Sr 0.000 0.000 0.000
2 Sr 0.104 0.104 0.896
3 Sr 0.211 0.211 0.789
4 Sr 0.789 0.789 0.211
5 Sr 0.896 0.896 0.104
6 B 0.133 0.463 0.537
7 B 0.234 0.564 0.436
8 B 0.334 0.666 0.334
9 B 0.436 0.766 0.234
10 B 0.463 0.133 0.867
11 B 0.537 0.867 0.133
12 B 0.564 0.234 0.766
13 B 0.666 0.334 0.666
14 B 0.766 0.436 0.564
15 B 0.867 0.537 0.463
16 Rh 0.051 0.051 0.449
17 Rh 0.152 0.152 0.348
18 Rh 0.250 0.250 0.250
19 Rh 0.347 0.347 0.653
20 Rh 0.348 0.348 0.152
21 Rh 0.449 0.449 0.051
22 Rh 0.450 0.450 0.550
23 Rh 0.550 0.550 0.450
24 Rh 0.551 0.551 0.949
25 Rh 0.652 0.652 0.848
26 Rh 0.653 0.653 0.347
27 Rh 0.750 0.750 0.750
28 Rh 0.848 0.848 0.652
29 Rh 0.949 0.949 0.551

---

Material: TbB2Rh3
Method: DFT, r²SCAN
State: optimized geometry

Computed properties:
As for the uncorrected energy: -123.04 eV/cell. Its formation energy from the elements is -0.785 eV/atom.

Unit cell a=5.380 b=5.380 c=3.142 alpha=90.00 beta=90.00 gamma=120.00
Fractional positions:
1 Tb 0.000 0.000 0.000
2 B 0.333 0.667 0.000
3 B 0.667 0.333 0.000
4 Rh 0.000 0.500 0.500
5 Rh 0.500 0.000 0.500
6 Rh 0.500 0.500 0.500

---

Material: ThBRh3
Method: DFT, r²SCAN
State: optimized geometry

Computed properties:
As for the uncorrected energy: -157.86 eV/cell. Its formation energy from the elements is -0.926 eV/atom.

Unit cell a=4.256 b=4.256 c=4.256 alpha=90.00 beta=90.00 gamma=90.00
Fractional positions:
1 Th 0.000 0.000 0.000
2 B 0.500 0.500 0.500
3 Rh 0.000 0.500 0.500
4 Rh 0.500 0.000 0.500
5 Rh 0.500 0.500 0.000

---

Material: Ti2BRh6
Method: DFT, r²SCAN
State: optimized geometry

Computed properties:
As for the uncorrected energy: -184.58 eV/cell. Its formation energy from the elements is -0.726 eV/atom.

Unit cell a=5.546 b=5.546 c=5.546 alpha=60.00 beta=60.00 gamma=60.00
Fractional positions:
1 Ti 0.250 0.250 0.250
2 Ti 0.750 0.750 0.750
3 B 0.000 0.000 0.000
4 Rh 0.258 0.258 0.742
5 Rh 0.258 0.742 0.258
6 Rh 0.258 0.742 0.742
7 Rh 0.742 0.258 0.258
8 Rh 0.742 0.258 0.742
9 Rh 0.742 0.742 0.258

---

Material: TmB2Rh3
Method: DFT, r²SCAN
State: optimized geometry

Computed properties:
As for the uncorrected energy: -126.96 eV/cell. Its formation energy from the elements is -0.789 eV/atom.

Unit cell a=5.342 b=5.342 c=3.140 alpha=90.00 beta=90.00 gamma=120.00
Fractional positions:
1 Tm 0.000 0.000 0.000
2 B 0.333 0.667 0.000
3 B 0.667 0.333 0.000
4 Rh 0.000 0.500 0.500
5 Rh 0.500 0.000 0.500
6 Rh 0.500 0.500 0.500

---

Material: TmBRh3
Method: DFT, r²SCAN
State: optimized geometry

Computed properties:
As for the uncorrected energy: -119.27 eV/cell. Its formation energy from the elements is -0.879 eV/atom.

Unit cell a=4.151 b=4.151 c=4.151 alpha=90.00 beta=90.00 gamma=90.00
Fractional positions:
1 Tm 0.000 0.000 0.000
2 B 0.500 0.500 0.500
3 Rh 0.000 0.500 0.500
4 Rh 0.500 0.000 0.500
5 Rh 0.500 0.500 0.000

---

What is the uncorrected energy in the second record? -289.29 eV/cell